20
Lattice="2.9189 1.6852 9.7384 -2.9189 1.6852 9.7384 0.0000 -3.3705 9.7384" Properties=species:S:1:pos:R:3 comment="Na3Ag3W2O6F6 PBE+U optimized geometry" corrected_energy_ev_per_cell=-122.5 total_magnetization_mub_per_cell=0.005 ef_ev_per_atom=-2.15 crystal_system=trigonal space_group="R-3 (148)" pbc="T T T"
Na 0.0000 0.0000 0.0000
Na 0.0000 0.0000 10.7025
Na 0.0000 0.0000 18.5127
Ag 0.0000 0.0000 3.7925
Ag 0.0000 0.0000 14.6076
Ag 0.0000 0.0000 25.4227
W 0.0000 0.0000 7.1824
W 0.0000 0.0000 22.0328
O -1.9631 -0.3634 13.1121
O -0.6669 -1.8818 16.1031
O -1.2963 1.5184 16.1031
O 1.2963 -1.5184 13.1121
O 0.6669 1.8818 13.1121
O 1.9631 0.3634 16.1031
F -1.5072 0.1717 8.6369
F 0.6049 -1.3911 8.6369
F -0.9023 -1.2194 20.5783
F 0.9023 1.2194 8.6369
F -0.6049 1.3911 20.5783
F 1.5072 -0.1717 20.5783